[1]
28
Lattice="-2.200 -1.795 1.034 4.879 -2.931 5.676 -2.218 6.420 8.245" Properties=species:S:1:pos:R:3 comment="Li4MnCo2O7, relaxed, DFT PBE+U" corrected_energy_ev_per_atom=-6.4994 formation_energy_ev_per_atom=-1.81 crystal_system=triclinic spacegroup=P-1 m_tot_mub_per_fu=9.00 mass_density_g_cm3=4.09 pbc="T T T"
Mn -0.214 1.766 9.792
O 1.927 -0.796 6.459
O -0.055 -2.164 4.935
O -0.583 0.656 3.841
O 1.227 1.457 8.486
O 1.664 -1.280 9.562
Li -1.329 -1.390 3.297
Li 1.340 -2.363 3.355
Li 1.790 3.084 11.659
O -1.779 5.170 7.463
Co -0.726 4.635 8.744
Co 1.187 -2.941 6.212
O -2.032 4.744 10.098
Co 2.446 0.757 9.803
O 0.516 3.858 10.020
Li -1.100 -0.898 0.517
Mn 0.675 -0.072 5.164
O -1.466 2.490 8.497
O 2.240 -3.476 7.493
Li -2.643 3.228 6.972
Li -0.003 2.246 6.945
O -0.766 0.237 6.469
O 1.044 1.038 11.115
O -1.203 2.974 5.394
Li 0.464 -0.551 8.011
Li 3.104 -1.534 7.984
O 2.493 -3.050 4.858
Co -1.985 0.937 5.153

[2]
24
Lattice="-2.930 0.216 0.062 1.410 -0.117 -2.575 -2.144 -29.171 0.156" Properties=species:S:1:pos:R:3 comment="Li7Mn2Co3O12, relaxed, DFT PBE+U" corrected_energy_ev_per_atom=-6.4286 formation_energy_ev_per_atom=-1.75 crystal_system=trigonal spacegroup=P-3m1 m_tot_mub_per_fu=11.58 mass_density_g_cm3=4.00 pbc="T T T"
Co -1.465 -19.436 -1.592
O -0.793 -10.788 0.058
O -1.870 -25.443 0.136
O -2.996 -20.481 -0.707
O -1.743 -23.225 -1.572
O -1.920 -5.847 -0.785
Co 0.000 0.000 0.000
O -0.274 -3.728 0.020
Li -1.072 -14.585 0.078
Mn -0.394 -4.867 -1.670
O -3.554 -28.068 -0.666
Li -1.655 -2.234 -0.805
O -1.351 -18.382 0.098
O -1.200 -15.833 -1.611
Co -2.199 -9.636 -0.765
O -2.464 -13.240 -0.746
Li -2.727 -16.822 -0.726
O -0.110 -1.004 -1.691
Mn -3.270 -24.206 -0.687
Li -0.547 -7.448 0.040
O -0.667 -8.592 -1.650
Li -0.936 -12.250 -1.630
Li -1.597 -21.723 0.116
Li -2.009 -26.839 -1.552

[3]
28
Lattice="1.439 14.953 0.000 -1.439 14.953 0.000 0.000 0.588 5.835" Properties=species:S:1:pos:R:3 comment="Li4MnCo2O7, relaxed, DFT PBE+U" corrected_energy_ev_per_atom=-6.5088 formation_energy_ev_per_atom=-1.82 crystal_system=monoclinic spacegroup=Cm m_tot_mub_per_fu=5.00 mass_density_g_cm3=4.13 pbc="T T T"
Mn 0.000 29.778 0.040
O 0.000 10.887 2.016
Li 0.000 8.837 2.100
O 0.000 2.552 5.486
O 0.000 6.618 2.229
O 0.000 2.395 2.884
Li 0.000 25.762 0.436
Li 0.000 13.279 4.627
Co 0.000 21.554 0.819
O 0.000 19.566 3.837
Li 0.000 4.841 5.419
O 0.000 27.975 0.197
O 0.000 15.388 4.535
O 0.000 23.860 3.649
Li 0.000 17.132 1.264
O 0.000 27.996 3.150
O 0.000 23.539 0.520
Co 0.000 26.214 3.268
Co 0.000 9.086 4.928
O 0.000 6.965 5.281
Li 0.000 12.977 1.632
Co 0.000 17.427 4.183
O 0.000 15.095 1.304
Mn 0.000 4.531 2.499
Li 0.000 30.022 2.904
O 0.000 19.325 1.171
Li 0.000 21.804 3.745
O 0.000 11.115 4.647

[4]
16
Lattice="2.893 0.000 0.000 0.000 5.230 0.000 0.000 1.545 9.562" Properties=species:S:1:pos:R:3 comment="Li5Mn2CoO8, relaxed, DFT PBE+U" corrected_energy_ev_per_atom=-6.5767 formation_energy_ev_per_atom=-1.92 crystal_system=monoclinic spacegroup=P2/m m_tot_mub_per_fu=1.92 mass_density_g_cm3=3.81 pbc="T T T"
O 1.446 2.269 3.775
Li 0.000 5.116 7.045
O 1.446 4.505 5.787
Li 1.446 2.500 7.065
O 1.446 6.066 8.438
O 0.000 3.315 1.150
O 0.000 1.519 5.836
Li 1.446 4.274 2.496
Mn 1.446 2.615 0.000
O 0.000 5.256 3.726
Li 0.000 3.387 4.781
O 0.000 3.459 8.412
O 1.446 0.709 1.123
Li 0.000 1.659 2.517
Mn 0.000 0.000 0.000
Co 1.446 0.772 4.781

[5]
48
Lattice="-0.605 5.089 0.002 -0.019 0.002 8.722 9.800 -0.356 -2.928" Properties=species:S:1:pos:R:3 comment="Li7Mn4CoO12, relaxed, DFT PBE+U" corrected_energy_ev_per_atom=-6.9311 formation_energy_ev_per_atom=-2.08 crystal_system=triclinic spacegroup=P-1 m_tot_mub_per_fu=1.10 mass_density_g_cm3=3.98 pbc="T T T"
Mn 4.595 2.368 -0.042
O 0.879 1.940 2.914
O 5.421 4.337 5.808
Li 7.303 1.035 2.953
O 0.557 4.526 7.271
O 3.394 3.169 7.368
O 3.744 0.398 5.804
O 5.442 4.110 3.004
Li 2.199 1.191 1.454
Li 1.896 3.743 2.922
O 0.862 1.774 0.059
Li 1.934 3.710 5.838
Li 7.018 3.509 4.343
O 5.763 1.570 -1.358
O 8.551 0.245 -1.587
Li 4.582 2.368 5.804
Co 4.894 -0.177 1.444
O 5.460 4.122 -0.108
Co -0.611 5.090 2.910
Mn 9.781 -0.350 5.788
Li 7.287 0.991 -0.033
O 0.671 4.492 1.335
O 8.304 2.795 -0.026
Mn -0.306 2.540 4.386
Li 7.229 1.027 5.773
Mn 4.285 4.905 4.378
O 3.741 0.625 -0.115
O 5.770 1.568 4.242
O 3.723 0.612 2.998
O 8.512 0.242 1.554
O 8.321 2.960 2.830
Mn 4.879 -0.169 7.234
O 0.632 4.489 4.476
O 3.449 2.965 1.444
Mn -0.617 5.087 5.823
Li 2.145 1.227 7.268
Li 1.881 3.703 -0.063
O 8.288 2.971 5.850
Mn 4.588 2.366 2.929
Mn 9.489 2.194 -1.497
Li 6.984 3.544 1.435
O 8.607 0.211 4.340
Li -0.318 2.546 7.270
O 5.734 1.770 1.443
O 0.876 1.765 5.761
O 3.421 3.164 4.246
Li 6.968 3.578 -1.493
Li 2.216 1.157 4.382

[6]
20
Lattice="-1.688 -1.471 -1.855 3.326 -3.921 0.138 -5.893 -3.381 10.104" Properties=species:S:1:pos:R:3 comment="Li3MnCoO5, relaxed, DFT PBE+U" corrected_energy_ev_per_atom=-6.5821 formation_energy_ev_per_atom=-1.91 crystal_system=triclinic spacegroup=P1 m_tot_mub_per_fu=6.72 mass_density_g_cm3=3.95 pbc="T T T"
Mn -1.332 -3.260 3.736
O -1.762 -1.574 2.774
O -0.953 -4.872 4.652
O -1.128 -4.125 1.969
O -2.430 -7.234 5.513
O -3.183 -3.828 3.585
Li -0.560 -5.968 2.903
Li 1.021 -3.531 1.891
Mn -4.252 -8.677 8.339
Co -2.946 -5.701 4.790
O 1.427 -4.500 0.075
O 0.420 -1.661 1.000
O -4.724 -7.113 7.518
O -3.186 -4.608 6.392
Li -3.837 -2.906 5.579
O -5.720 -4.254 8.392
Co -1.503 -2.327 0.918
Li -2.782 -6.414 7.450
Li -5.010 -6.026 9.197
Li -5.185 -5.222 6.444

[7]
48
Lattice="-1.532 3.537 3.227 -6.350 -5.635 2.611 7.518 -2.867 5.766" Properties=species:S:1:pos:R:3 comment="Li7Mn4CoO12, relaxed, DFT PBE+U" corrected_energy_ev_per_atom=-6.9261 formation_energy_ev_per_atom=-2.07 m_tot_mub_per_fu=0.00 mass_density_g_cm3=3.99 pbc="T T T"
O 0.157 -3.214 3.465
O -3.784 -4.263 6.384
O 0.513 -0.483 4.640
Li 0.756 -3.503 8.000
Mn -2.450 -5.713 6.084
Mn -3.934 -1.052 2.912
Mn -2.146 -3.009 7.261
Mn -0.042 -1.127 6.391
O -0.566 -1.729 8.160
Li -2.944 -0.633 5.651
Mn 1.794 -1.960 4.341
O -1.896 -5.069 4.332
Li 0.424 -6.148 6.819
O 2.317 -2.479 8.989
O -2.876 -2.661 2.643
O 1.240 -2.604 6.093
O 3.376 -0.680 5.242
O 4.207 -3.071 7.046
Li -0.797 1.215 4.808
Li -1.392 -5.352 8.844
O -4.863 -4.602 3.379
Li -5.021 -2.574 6.525
Li -3.205 -3.371 4.500
O -4.505 -1.657 4.663
Li 4.697 -2.454 5.081
O -2.701 -3.653 9.011
O -0.467 1.925 2.950
O -1.623 -2.407 5.492
Li 2.833 -1.562 7.127
O -0.564 -0.608 1.744
Li 2.549 -4.302 5.925
O -0.092 -7.065 8.681
Co 2.081 0.749 5.520
O 2.220 -5.012 7.783
Mn 3.278 -6.621 7.513
Li 5.402 -4.745 6.636
Mn 5.687 -2.035 7.821
O 4.629 -0.427 8.090
Co -0.328 -3.836 5.213
O -0.813 -4.459 6.960
Li 1.460 -5.795 9.555
O -2.454 -0.016 3.687
Li 0.997 0.416 2.733
O 0.266 -4.120 9.965
Mn -7.875 -2.101 5.831
O 1.596 0.127 7.268
Li -1.080 -1.525 3.606
O 2.318 -1.358 2.572

[8]
20
Lattice="4.981 0.000 0.000 -1.693 5.691 0.000 -0.795 -1.816 6.317" Properties=species:S:1:pos:R:3 comment="Li3MnCoO5, relaxed, DFT PBE+U" corrected_energy_ev_per_atom=-6.5634 formation_energy_ev_per_atom=-1.89 crystal_system=triclinic spacegroup=P-1 m_tot_mub_per_fu=4.00 mass_density_g_cm3=3.98 pbc="T T T"
Co 3.732 1.207 1.980
O 1.334 -1.243 5.181
Li 0.387 3.210 0.681
O -0.354 1.270 0.017
Mn 1.244 0.392 0.649
Li 2.093 -0.908 3.158
O 2.847 2.604 6.300
O 1.159 5.117 1.135
Mn 1.249 3.483 5.667
O 2.100 2.008 1.208
O 3.021 0.932 3.781
O -0.528 2.943 2.536
Li 1.247 1.937 3.158
O 2.102 3.703 3.972
O 0.394 1.867 5.108
Li 2.106 0.664 5.636
Li -0.367 -0.108 4.396
Co -1.238 2.667 4.337
Li 2.860 3.982 1.920
O 0.392 0.172 2.345

[9]
24
Lattice="-5.224 2.076 -1.812 1.470 -0.547 -5.733 -1.218 -6.082 1.847" Properties=species:S:1:pos:R:3 comment="Li7Mn4CoO12, relaxed, DFT PBE+U" corrected_energy_ev_per_atom=-6.9211 formation_energy_ev_per_atom=-2.07 crystal_system=triclinic spacegroup=P-1 m_tot_mub_per_fu=13.99 mass_density_g_cm3=4.04 pbc="T T T"
Mn -0.055 0.002 -0.028
O -0.010 -2.057 -2.827
Li -0.922 -1.791 -4.766
O -1.247 -5.974 -2.767
O -1.815 -3.689 -4.918
Li -4.269 -0.479 -2.806
Co -1.657 -1.518 -1.900
O -2.397 -3.308 -1.787
Li -3.534 -0.753 -5.672
O -0.755 -1.754 -0.162
O -4.865 -4.525 -1.053
O -4.892 -2.515 -2.711
O -2.560 -1.281 -3.637
Li -1.864 0.639 -3.781
O -0.918 0.273 -2.012
Mn -3.260 -3.037 -3.771
Li -2.629 0.963 -0.908
O -4.075 -4.865 -3.711
Mn -4.015 -2.730 -0.916
O -4.211 -2.722 -5.786
Mn 0.700 -0.305 -2.883
Li -1.450 -3.674 -0.018
O -3.305 -0.978 -0.972
Li -0.686 -3.998 -2.891

[10]
28
Lattice="-4.273 0.408 2.547 -0.240 -5.240 -2.670 4.780 -3.604 6.673" Properties=species:S:1:pos:R:3 comment="Li4MnCo2O7, relaxed, DFT PBE+U" corrected_energy_ev_per_atom=-6.5466 formation_energy_ev_per_atom=-1.86 crystal_system=triclinic spacegroup=P1 m_tot_mub_per_fu=3.00 mass_density_g_cm3=4.12 pbc="T T T"
Li 0.692 -2.483 1.528
Li 0.548 -5.100 0.244
Co -1.138 -3.444 3.496
Co 2.058 -7.414 4.522
Li 1.439 -2.299 4.267
Li -1.253 -6.131 2.226
O 1.190 -6.745 6.111
O 2.999 -5.742 4.135
O -2.928 -5.442 0.848
O -1.919 -2.803 5.146
O 1.437 -3.916 7.665
O -0.318 -1.615 3.117
O -1.046 -4.573 -1.052
Li -0.094 -2.649 -1.265
O 3.231 -2.945 5.692
O -0.294 -4.269 1.985
Co 1.339 -4.899 2.983
O -2.647 -2.699 2.316
O 2.189 -5.708 1.439
Mn -4.485 -4.847 -0.098
O -0.934 -1.641 0.389
Mn -1.763 -1.052 2.051
Li -1.845 -3.667 0.750
Co -0.424 -5.966 5.012
Li 2.198 -4.794 5.819
O 0.403 -6.743 3.463
Li -0.333 -3.318 6.281
O 0.543 -4.221 4.632

[11]
28
Lattice="-0.183 -2.653 1.325 0.520 -2.531 -1.467 33.202 -0.630 8.330" Properties=species:S:1:pos:R:3 comment="Li4MnCo2O7, relaxed, DFT PBE+U" corrected_energy_ev_per_atom=-6.4110 formation_energy_ev_per_atom=-1.72 crystal_system=monoclinic spacegroup=C2/m m_tot_mub_per_fu=12.84 mass_density_g_cm3=4.06 pbc="T T T"
O 6.091 -1.342 1.474
O 1.497 -3.365 0.229
Co 21.540 -3.385 5.273
O 22.546 -1.541 5.608
Li 16.601 -0.315 4.165
O 8.353 -2.630 1.987
O 12.922 -0.647 3.224
Li 9.599 -0.900 2.377
O 32.042 -2.448 7.958
O 25.186 -3.184 6.200
Li 4.892 -3.060 1.097
O 15.512 -2.148 3.810
Li 23.941 -4.914 5.811
O 10.994 -4.273 2.580
O 18.027 -3.666 4.377
Co 12.000 -2.428 2.914
Co 2.453 -1.527 0.550
Mn 7.409 -4.576 1.664
O 20.618 -5.167 4.963
Li 0.000 0.000 0.000
Li 14.526 -3.919 3.485
Li 28.647 -2.753 7.090
Co 31.087 -4.287 7.637
O 29.784 -0.942 7.456
O 3.755 -4.872 0.732
Li 19.013 -1.895 4.703
O 27.449 -4.472 6.713
Mn 26.131 -1.238 6.523

[12]
24
Lattice="2.984 0.000 0.000 0.068 5.070 0.000 0.416 0.579 14.362" Properties=species:S:1:pos:R:3 comment="Li7Mn2Co3O12, relaxed, DFT PBE+U" corrected_energy_ev_per_atom=-6.5283 formation_energy_ev_per_atom=-1.85 crystal_system=triclinic spacegroup=P1 m_tot_mub_per_fu=17.99 mass_density_g_cm3=4.03 pbc="T T T"
Li 3.373 3.867 11.952
O 1.670 0.786 1.196
O 3.090 1.962 6.093
Li 1.817 4.609 9.558
Li 3.236 5.340 7.189
Co 1.837 1.344 11.928
O 3.349 2.148 13.146
O 1.767 1.349 8.348
Li 1.671 1.134 4.806
Co 3.271 2.097 9.537
Li 0.106 1.819 2.472
O 0.389 3.612 8.377
Mn 0.014 0.025 0.002
O 1.818 2.883 10.776
O 0.152 3.582 1.305
O 0.328 0.539 10.735
O 1.612 2.765 3.508
O 3.129 5.091 3.468
Li 1.928 3.080 14.319
Li 3.131 3.491 4.764
O 1.722 4.290 6.150
O 1.827 4.853 13.141
Mn 1.642 4.287 2.491
Co 1.721 2.837 7.082